Entry from Materials Project: a geometry-optimized Ce2Ga7Pd structure (PBE).

Properties
As for the crystal system: tetragonal. The energy of formation is -605 meV per atom.

a b c (Å): 4.369 4.369 10.457
angles (deg): 90.00 90.00 90.00
Fractional coordinates of all 10 atoms:
1 Ga 0.000 0.500 0.244
2 Ga 0.500 0.500 0.894
3 Ga 0.000 0.000 0.385
4 Ga 0.000 0.500 0.750
5 Ce 0.000 0.000 0.998
6 Ga 0.000 0.000 0.618
7 Ga 0.500 0.000 0.750
8 Pd 0.500 0.500 0.127
9 Ce 0.500 0.500 0.491
10 Ga 0.500 0.000 0.244


Entry from Materials Project: a geometry-optimized Cs2PuCl4O2 structure (PBE).

Properties
As for the crystal system: monoclinic. The energy of formation is -2220 meV per atom. The calculation puts the total magnetization at 1.98 μB per formula unit.

a b c (Å): 7.287 7.287 5.906
angles (deg): 84.76 84.76 64.90
Fractional coordinates of all 9 atoms:
1 Cl 0.348 0.855 0.209
2 Cs 0.660 0.660 0.696
3 Cl 0.855 0.348 0.209
4 O 0.112 0.112 0.782
5 Cl 0.145 0.652 0.791
6 Cl 0.652 0.145 0.791
7 Cs 0.340 0.340 0.304
8 Pu 0.000 0.000 0.000
9 O 0.888 0.888 0.218


Entry from Materials Project: a geometry-optimized Ba2LaCu2HgO7 structure (PBE).

Properties
As for the crystal system: tetragonal. The energy of formation is -2076 meV per atom. The calculation puts the total magnetization at 0.15 μB per formula unit.

a b c (Å): 3.930 3.930 12.965
angles (deg): 90.00 90.00 90.00
Fractional coordinates of all 13 atoms:
1 O 0.500 0.000 0.378
2 O 0.000 0.500 0.622
3 O 0.000 0.000 0.163
4 O 0.500 0.000 0.622
5 Cu 0.000 0.000 0.639
6 Hg 0.000 0.000 0.000
7 O 0.000 0.500 0.378
8 La 0.500 0.500 0.500
9 Ba 0.500 0.500 0.801
10 O 0.500 0.500 0.000
11 Ba 0.500 0.500 0.199
12 Cu 0.000 0.000 0.361
13 O 0.000 0.000 0.837